{
  "formula": "Rb2Nd2MgW4O16",
  "functional": "PBE+U",
  "state": "relaxed",
  "magnetic_moment_mub_per_atom": 0.080,
  "ef_ev_per_atom": -2.565,
  "e_tot_ha_per_atom": -0.2638,
  "e_above_lowest_polymorph_ev_per_atom": 0.0245,
  "cell": [[5.385, -5.758, 0.000], [5.385, 5.758, 0.000], [-4.946, 0.000, 5.684]],
  "species": ["Rb", "Rb", "Nd", "Nd", "Mg", "W", "W", "W", "W", "O", "O", "O", "O", "O", "O", "O", "O", "O", "O", "O", "O", "O", "O", "O", "O"],
  "fractional_positions": [[0.000, 0.000, 0.000], [0.521, 0.479, 0.500], [0.486, 0.514, 0.000], [0.963, 0.037, 0.500], [0.756, 0.244, 0.000], [0.019, 0.563, 0.524], [0.048, 0.555, 0.037], [0.437, 0.981, 0.476], [0.445, 0.952, 0.963], [0.066, 0.458, 0.247], [0.105, 0.831, 0.272], [0.129, 0.342, 0.883], [0.169, 0.895, 0.728], [0.315, 0.635, 0.758], [0.361, 0.197, 0.622], [0.365, 0.685, 0.242], [0.386, 0.017, 0.203], [0.535, 0.231, 0.073], [0.542, 0.934, 0.753], [0.658, 0.871, 0.117], [0.722, 0.065, 0.610], [0.769, 0.465, 0.927], [0.803, 0.639, 0.378], [0.935, 0.278, 0.390], [0.983, 0.614, 0.797]]
}

{
  "formula": "Na5TbW4O16",
  "functional": "PBE+U",
  "state": "relaxed",
  "magnetic_moment_mub_per_atom": 0.000,
  "ef_ev_per_atom": -2.397,
  "e_tot_ha_per_atom": -0.2485,
  "cell": [[-5.865, 5.865, 5.809], [5.865, -5.865, 5.809], [5.865, 5.865, -5.809]],
  "species": ["Na", "Na", "Na", "Na", "Na", "Na", "Na", "Na", "Na", "Na", "Tb", "Tb", "W", "W", "W", "W", "W", "W", "W", "W", "O", "O", "O", "O", "O", "O", "O", "O", "O", "O", "O", "O", "O", "O", "O", "O", "O", "O", "O", "O", "O", "O", "O", "O", "O", "O", "O", "O", "O", "O", "O", "O"],
  "fractional_positions": [[0.113, 0.036, 0.833], [0.220, 0.387, 0.423], [0.296, 0.720, 0.333], [0.375, 0.125, 0.250], [0.464, 0.796, 0.077], [0.536, 0.204, 0.923], [0.625, 0.875, 0.750], [0.704, 0.280, 0.667], [0.780, 0.613, 0.577], [0.887, 0.964, 0.167], [0.125, 0.375, 0.750], [0.875, 0.625, 0.250], [0.045, 0.710, 0.973], [0.210, 0.737, 0.665], [0.237, 0.072, 0.527], [0.428, 0.455, 0.165], [0.572, 0.545, 0.835], [0.763, 0.928, 0.473], [0.790, 0.263, 0.335], [0.955, 0.290, 0.027], [0.002, 0.350, 0.482], [0.017, 0.804, 0.853], [0.020, 0.502, 0.152], [0.069, 0.268, 0.925], [0.150, 0.132, 0.652], [0.157, 0.856, 0.425], [0.201, 0.128, 0.372], [0.232, 0.657, 0.801], [0.255, 0.829, 0.128], [0.304, 0.951, 0.787], [0.329, 0.701, 0.574], [0.336, 0.483, 0.287], [0.356, 0.431, 0.699], [0.368, 0.520, 0.018], [0.372, 0.245, 0.074], [0.451, 0.164, 0.647], [0.549, 0.836, 0.353], [0.628, 0.755, 0.926], [0.632, 0.480, 0.982], [0.644, 0.569, 0.301], [0.664, 0.517, 0.713], [0.671, 0.299, 0.426], [0.696, 0.049, 0.213], [0.745, 0.171, 0.872], [0.768, 0.343, 0.199], [0.799, 0.872, 0.628], [0.843, 0.144, 0.575], [0.850, 0.868, 0.348], [0.931, 0.732, 0.075], [0.980, 0.498, 0.848], [0.983, 0.196, 0.147], [0.998, 0.650, 0.518]]
}